1.
Below is an optimized crystal structure of Pr2Mn12Co5, with properties calculated at the PBE level.

Values from the calculation:
* ΔH_f (0 K): 8 kJ per mole of atoms
* size of the total moment: 18.69 μB/cell

Lattice parameters (Å, degrees): 8.685 8.685 8.018 90.00 90.00 120.00
Sites, in units of the cell vectors:
Mn: 0.935 0.327 0.750
Mn: 0.673 0.608 0.750
Mn: 0.655 0.828 0.967
Mn: 0.828 0.172 0.467
Mn: 0.935 0.608 0.750
Mn: 0.673 0.065 0.750
Mn: 0.172 0.345 0.967
Mn: 0.608 0.935 0.250
Mn: 0.828 0.655 0.467
Mn: 0.172 0.828 0.533
Mn: 0.327 0.392 0.250
Mn: 0.608 0.673 0.250
Mn: 0.065 0.673 0.250
Mn: 0.065 0.392 0.250
Mn: 0.828 0.172 0.033
Mn: 0.327 0.935 0.250
Mn: 0.392 0.065 0.750
Mn: 0.392 0.327 0.750
Mn: 0.172 0.828 0.967
Mn: 0.828 0.655 0.033
Mn: 0.655 0.828 0.533
Mn: 0.345 0.172 0.467
Mn: 0.172 0.345 0.533
Mn: 0.345 0.172 0.033
Co: 0.000 0.500 0.500
Co: 0.667 0.333 0.604
Co: 0.500 0.000 0.000
Co: 0.667 0.333 0.896
Co: 0.333 0.667 0.104
Co: 0.500 0.500 0.500
Co: 0.500 0.000 0.500
Co: 0.000 0.500 0.000
Co: 0.333 0.667 0.396
Co: 0.500 0.500 0.000
Pr: 0.333 0.667 0.750
Pr: 0.000 0.000 0.750
Pr: 0.000 0.000 0.250
Pr: 0.667 0.333 0.250

=====

2.
Below is an optimized crystal structure of PrMn5Co7, with properties calculated at the PBE level.

Values from the calculation:
* ΔH_f (0 K): 8 kJ per mole of atoms
* size of the total moment: 15.08 μB/cell

Lattice parameters (Å, degrees): 4.589 6.386 6.386 97.18 111.06 68.94
Sites, in units of the cell vectors:
Co: 0.502 0.232 0.236
Co: 0.361 0.639 0.361
Co: 0.642 0.358 0.642
Co: 0.271 0.229 0.771
Co: 0.998 0.362 0.357
Co: 0.502 0.764 0.768
Co: 0.998 0.643 0.638
Mn: 0.002 0.499 0.998
Mn: 0.002 0.002 0.501
Mn: 0.497 0.002 0.501
Mn: 0.497 0.499 0.998
Mn: 0.731 0.769 0.231
Pr: 0.997 0.003 0.997